1.
DyGePd2 | PBE | optimized geometry

Geometry as extended XYZ:
```
16
Lattice="7.368 0.000 0.000 0.000 7.142 0.000 0.000 0.000 5.641" Properties=species:S:1:pos:R:3 pbc="T T T"
Dy 0.177 1.785 0.814
Dy 3.507 5.356 3.635
Dy 3.861 1.785 2.006
Dy 7.191 5.356 4.827
Ge 0.891 5.356 2.025
Ge 2.793 1.785 4.845
Ge 4.575 5.356 0.796
Ge 6.476 1.785 3.616
Pd 1.350 0.367 3.316
Pd 1.350 3.203 3.316
Pd 2.334 3.938 0.496
Pd 2.334 6.774 0.496
Pd 5.034 0.367 5.145
Pd 5.034 3.203 5.145
Pd 6.018 3.938 2.324
Pd 6.018 6.774 2.324
```

Values from the calculation:
symmetry: Pnma, No. 62
ρ: 10.03 g/cm3
formation energy: -0.913 eV per atom

=====

2.
LiTeH5O6 | PBE | optimized geometry

Geometry as extended XYZ:
```
52
Lattice="7.698 0.000 0.000 0.000 7.615 0.000 -7.697 0.000 7.700" Properties=species:S:1:pos:R:3 pbc="T T T"
Li 0.000 0.009 0.000
Li -3.848 7.606 3.850
Li -0.096 3.789 3.918
Li 3.752 3.826 0.068
Te -3.780 3.782 3.921
Te 0.068 3.833 0.071
Te -0.017 0.047 4.028
Te 3.831 7.568 0.178
H -5.436 0.463 5.982
H -1.587 7.151 2.132
H -3.837 2.159 5.786
H 0.011 5.455 1.936
H -1.871 1.688 3.949
H 1.977 5.927 0.099
H 1.639 1.945 0.598
H -2.209 5.669 4.448
H 0.476 1.819 2.282
H -3.372 5.795 6.131
H 3.321 1.855 1.749
H -0.527 5.760 5.599
H 2.172 1.995 3.444
H -1.676 5.620 7.294
H 5.632 1.630 0.029
H 1.784 5.985 3.879
H -0.061 2.136 5.980
H 3.788 5.479 2.130
H 5.880 3.343 1.653
H 2.031 4.272 5.503
O 0.628 2.021 0.681
O -3.220 5.594 4.531
O -2.066 3.237 3.387
O -5.914 4.378 7.237
O -4.421 0.517 6.039
O -0.573 7.098 2.189
O -3.570 3.123 5.761
O 0.278 4.492 1.912
O -1.846 0.705 4.228
O 2.002 6.909 0.378
O 0.565 1.796 3.293
O -3.283 5.819 7.143
O 3.243 1.778 0.738
O -0.605 5.837 4.588
O -2.097 0.677 7.433
O 1.751 6.938 3.583
O -0.364 3.109 6.013
O 3.485 4.506 2.163
O 0.529 0.582 5.741
O 4.378 7.032 1.891
O 3.184 2.020 3.360
O -0.664 5.595 7.210
O 5.930 3.280 0.640
O 2.082 4.335 4.489
```

Values from the calculation:
symmetry: Pc, No. 7
ρ: 3.47 g/cm3
formation energy: -1.461 eV per atom

=====

3.
Ho3Ge13Os4 | PBE | optimized geometry

Geometry as extended XYZ:
```
40
Lattice="9.057 0.000 0.000 0.000 9.057 0.000 0.000 0.000 9.057" Properties=species:S:1:pos:R:3 pbc="T T T"
Ho 0.000 2.264 4.529
Ho 0.000 6.793 4.529
Ho 2.264 4.529 0.000
Ho 4.529 0.000 2.264
Ho 4.529 0.000 6.793
Ho 6.793 4.529 0.000
Ge 0.000 0.000 0.000
Ge 0.000 2.726 1.318
Ge 0.000 2.726 7.739
Ge 0.000 6.331 1.318
Ge 0.000 6.331 7.739
Ge 1.318 0.000 2.726
Ge 1.318 0.000 6.331
Ge 1.803 4.529 3.210
Ge 1.803 4.529 5.847
Ge 2.726 1.318 0.000
Ge 2.726 7.739 0.000
Ge 3.210 1.803 4.529
Ge 3.210 7.254 4.529
Ge 4.529 3.210 1.803
Ge 4.529 3.210 7.254
Ge 4.529 4.529 4.529
Ge 4.529 5.847 1.803
Ge 4.529 5.847 7.254
Ge 5.847 1.803 4.529
Ge 5.847 7.254 4.529
Ge 6.331 1.318 0.000
Ge 6.331 7.739 0.000
Ge 7.254 4.529 3.210
Ge 7.254 4.529 5.847
Ge 7.739 0.000 2.726
Ge 7.739 0.000 6.331
Os 2.264 2.264 2.264
Os 2.264 2.264 6.793
Os 2.264 6.793 2.264
Os 2.264 6.793 6.793
Os 6.793 2.264 2.264
Os 6.793 2.264 6.793
Os 6.793 6.793 2.264
Os 6.793 6.793 6.793
```

Values from the calculation:
symmetry: Pm-3n, No. 223
ρ: 9.83 g/cm3
formation energy: -0.334 eV per atom

=====

4.
CdGa2Te4 | PBE | optimized geometry

Geometry as extended XYZ:
```
14
Lattice="6.273 0.000 0.000 0.000 6.273 0.000 0.000 0.000 12.014" Properties=species:S:1:pos:R:3 pbc="T T T"
Cd 0.000 0.000 0.000
Cd 3.136 3.136 6.007
Ga 0.000 0.000 6.007
Ga 0.000 3.136 9.011
Ga 3.136 0.000 3.004
Ga 3.136 3.136 0.000
Te 1.412 4.724 4.348
Te 1.549 1.412 7.666
Te 1.588 1.725 1.659
Te 1.725 4.685 10.355
Te 4.548 1.588 10.355
Te 4.685 4.548 1.659
Te 4.724 4.861 7.666
Te 4.861 1.549 4.348
```

Values from the calculation:
symmetry: I-4, No. 82
ρ: 5.36 g/cm3
piezoelectric modulus e_max: 0.1 C/m2
formation energy: -0.621 eV per atom

=====

5.
NdAlCu | PBE | optimized geometry

Geometry as extended XYZ:
```
9
Lattice="7.198 0.000 0.000 -3.599 6.234 0.000 0.000 0.000 4.143" Properties=species:S:1:pos:R:3 pbc="T T T"
Nd -1.493 2.585 0.000
Nd 2.985 0.000 0.000
Nd 2.107 3.649 0.000
Al -2.760 4.780 2.071
Al 0.839 1.454 2.071
Al 5.520 0.000 2.071
Cu 0.000 0.000 0.000
Cu 0.000 4.156 2.071
Cu 3.599 2.078 2.071
```

Values from the calculation:
symmetry: P-62m, No. 189
ρ: 6.29 g/cm3
formation energy: -0.380 eV per atom

=====

6.
NaYGeP2SO12 | PBE | optimized geometry

Geometry as extended XYZ:
```
108
Lattice="8.759 0.000 0.000 -4.380 7.728 0.152 0.000 0.457 22.755" Properties=species:S:1:pos:R:3 pbc="T T T"
Na 4.271 7.856 11.452
Na -4.271 8.084 22.829
Na 4.271 2.856 18.936
Na 4.489 2.628 7.558
Na -0.109 5.127 3.816
Na 0.109 5.356 15.194
Y 8.702 0.314 14.608
Y 0.058 0.086 3.230
Y 4.322 3.042 22.243
Y 4.437 2.814 10.865
Y -0.058 5.314 7.123
Y 0.058 5.542 18.501
Ge 0.019 0.252 8.041
Ge -0.019 0.481 19.418
Ge 4.399 2.980 15.676
Ge 4.361 2.752 4.299
Ge 0.019 5.252 0.557
Ge -0.019 5.480 11.934
P 2.549 0.353 5.701
P 7.354 2.255 5.705
P 1.405 2.483 17.083
P 6.210 0.581 17.078
P 6.929 3.081 13.336
P 2.975 4.983 13.341
P 5.785 4.755 1.963
P 1.830 2.853 1.959
P 2.549 5.809 20.972
P -1.405 7.711 20.977
P 1.405 7.483 9.599
P -2.549 5.581 9.594
S 3.260 5.485 5.819
S 5.499 5.713 17.197
S 3.260 0.485 13.303
S 5.499 0.256 1.926
S -1.120 3.213 20.939
S 1.120 2.985 9.561
O 1.634 0.534 6.990
O 3.805 6.136 7.042
O 7.621 1.387 7.036
O 1.138 1.615 18.413
O 4.955 6.364 18.420
O 7.126 0.762 18.368
O 2.633 8.034 15.992
O 0.852 1.803 15.862
O -3.469 6.475 15.978
O 3.469 6.246 4.600
O 7.908 1.575 4.484
O -2.633 7.806 4.614
O 6.014 3.262 14.626
O 3.805 1.136 14.526
O 3.242 4.115 14.671
O 5.518 3.887 3.294
O 4.955 0.908 3.148
O 2.746 3.034 3.248
O 2.633 2.578 0.721
O 5.231 4.075 0.742
O 5.290 1.018 0.707
O 3.469 1.246 12.084
O 3.528 4.303 12.120
O 6.127 2.806 12.099
O 1.634 5.991 22.261
O -0.575 3.864 22.162
O -1.138 6.843 22.307
O 1.138 6.615 10.929
O 0.575 3.636 10.784
O -1.634 5.762 10.884
O -1.747 5.306 8.357
O 0.852 6.803 8.378
O 0.911 3.746 8.342
O -0.911 3.975 19.720
O -0.852 7.031 19.755
O 1.747 5.534 19.734
O -3.335 6.946 9.464
O 2.985 7.561 9.484
O 0.378 1.658 9.445
O -0.378 1.886 20.823
O -2.985 7.789 20.861
O 3.335 7.175 20.841
O -0.817 1.949 13.453
O -2.554 7.932 13.545
O 3.541 6.392 13.483
O 5.219 6.164 2.105
O 2.554 7.703 2.167
O 0.817 1.721 2.075
O 5.424 1.947 16.948
O 2.985 2.561 16.968
O 4.758 4.386 17.081
O 4.001 4.158 5.703
O 5.774 2.332 5.590
O 3.335 1.718 5.570
O 3.562 4.677 21.088
O 6.206 2.932 21.029
O 3.541 1.393 20.967
O 5.219 1.164 9.589
O 2.554 2.703 9.651
O 5.197 4.449 9.711
O 1.045 4.218 1.828
O -1.394 4.832 1.848
O 0.378 6.658 1.961
O -0.378 6.886 13.339
O 1.394 5.061 13.226
O -1.045 4.447 13.206
O -0.817 6.949 5.969
O 1.826 5.203 5.909
O -0.839 3.664 5.847
O 0.839 3.893 17.225
O -1.826 5.432 17.287
O 0.817 7.177 17.346
```

Values from the calculation:
ρ: 3.04 g/cm3
formation energy: -2.556 eV per atom

=====

Q: Which formula does entry 3 have?
A: Ho3Ge13Os4

=====

Q: Look up the formation energy of the fourth one.
A: -0.621 eV per atom

=====

Q: Which value of formation energy does entry 2 give?
A: -1.461 eV per atom